(a)
DFT (PBE with a Hubbard U) results for an optimized crystal structure of LiVFeP2H2O10.

Lattice parameters (Å, degrees): 5.3183 7.4296 10.5192 74.41 98.29 70.11
Closest atoms and distances in Å follow each position.
Fractional positions:
1 Fe 0.9954 0.9958 0.0006  6 O 1.95-2.10
2 P 0.1181 0.2307 0.2243  4 O 1.54-1.56
3 O 0.8035 0.3735 0.6707  1 P 1.56
4 P 0.8770 0.7733 0.7783  4 O 1.53-1.57
5 O 0.8243 0.9202 0.3584  1 P 1.53
6 O 0.6636 0.2807 0.9346  1 H 0.99
7 O 0.7082 0.6393 0.3126  1 P 1.56
8 O 0.3005 0.3530 0.1877  1 P 1.56
9 Fe 0.9954 0.9963 0.5004  6 O 1.95-2.09
10 P 0.1181 0.2308 0.7243  4 O 1.54-1.56
11 P 0.8770 0.7735 0.2783  4 O 1.53-1.57
12 O 0.7830 0.8948 0.1239  1 P 1.54
13 O 0.7087 0.6388 0.8127  1 P 1.56
14 O 0.3201 0.7193 0.5713  1 H 0.99
15 O 0.3005 0.3530 0.6877  1 P 1.56
16 O 0.1780 0.0816 0.1440  1 P 1.54
17 O 0.1782 0.0816 0.6440  1 P 1.54
18 Li 0.4366 0.1432 0.5317  4 O 1.96-2.04
19 H 0.3264 0.6674 0.4941  1 O 0.99
20 H 0.7033 0.3449 0.5020  1 O 0.99
21 O 0.1921 0.6302 0.3246  1 P 1.57
22 O 0.8242 0.9201 0.8585  1 P 1.53
23 Li 0.4365 0.1432 0.0318  4 O 1.96-2.04
24 O 0.8034 0.3734 0.1708  1 P 1.56
25 O 0.6635 0.2807 0.4345  1 H 0.99
26 O 0.1922 0.6301 0.8247  1 P 1.57
27 O 0.7830 0.8948 0.6239  1 P 1.54
28 O 0.1967 0.1242 0.3801  1 P 1.54
29 O 0.1967 0.1241 0.8800  1 P 1.54
30 V 0.4974 0.5054 0.7480  6 O 1.90-2.04
31 H 0.7034 0.3448 0.0021  1 O 0.99
32 H 0.3265 0.6674 0.9942  1 O 0.99
33 O 0.3201 0.7193 0.0713  1 H 0.99
34 V 0.4973 0.5054 0.2480  6 O 1.90-2.04


(b)
DFT (PBE with a Hubbard U) results for an optimized crystal structure of LiVFeP2H2O10.

Lattice parameters (Å, degrees): 14.5061 7.3637 5.2102 74.55 85.85 91.92
Closest atoms and distances in Å follow each position.
Fractional positions:
1 P 0.3745 0.5999 0.0778  4 O 1.54-1.56
2 O 0.8984 0.5464 0.7300  1 P 1.56
3 O 0.2284 0.8883 0.4005  1 P 1.56
4 H 0.2314 0.5643 0.7829  1 O 0.99
5 O 0.3918 0.4629 0.9036  1 P 1.54
6 Li 0.1874 0.0367 0.7413  4 O 1.98-2.07
7 O 0.7346 0.8641 0.0311  1 P 1.54
8 O 0.5646 0.2130 0.0636  1 P 1.56
9 P 0.2918 0.0666 0.2563  4 O 1.54-1.57
10 Li 0.4785 0.6305 0.5924  4 O 1.98-2.07
11 H 0.7703 0.4271 0.2187  1 O 0.99
12 O 0.2749 0.2042 0.4295  1 P 1.54
13 O 0.9382 0.3125 0.4144  1 P 1.57
14 O 0.0622 0.6861 0.5871  1 P 1.57
15 Fe 0.3333 0.3332 0.6669  6 O 1.97-1.98
16 O 0.1016 0.4532 0.2710  1 P 1.56
17 O 0.0733 0.1815 0.6882  1 P 1.54
18 V 0.1665 0.6600 0.3381  6 O 1.89-2.02
19 O 0.7280 0.3500 0.9172  1 P 1.56
20 Li 0.8129 0.9645 0.2594  4 O 1.96-2.07
21 O 0.0582 0.1310 0.2328  1 P 1.52
22 O 0.9269 0.8176 0.3128  1 P 1.54
23 O 0.7255 0.7991 0.5719  1 P 1.54
24 O 0.1105 0.8257 0.0205  1 H 0.99
25 O 0.8895 0.1734 0.9821  1 H 0.99
26 O 0.6096 0.5365 0.0972  1 P 1.53
27 Fe 0.9998 0.9995 0.0008  6 O 1.96-2.08
28 O 0.7726 0.4879 0.3661  1 H 0.99
29 O 0.4354 0.1595 0.7025  1 H 0.99
30 H 0.5696 0.9204 0.4320  1 O 0.99
31 O 0.9420 0.8688 0.7672  1 P 1.52
32 P 0.7085 0.9385 0.7428  4 O 1.54-1.57
33 O 0.2654 0.1445 0.9669  1 P 1.54
34 H 0.9038 0.2552 0.0991  1 O 0.99
35 O 0.2708 0.6513 0.0761  1 P 1.56
36 Fe 0.6664 0.6625 0.3341  6 O 1.94-2.09
37 O 0.5926 0.4848 0.6459  1 P 1.54
38 H 0.4353 0.1024 0.5512  1 O 0.99
39 O 0.3957 0.0153 0.2581  1 P 1.57
40 O 0.4382 0.7784 0.9337  1 P 1.56
41 V 0.4992 0.0061 0.9965  6 O 1.89-2.02
42 P 0.9574 0.7328 0.5947  4 O 1.52-1.57
43 O 0.7715 0.1158 0.5937  1 P 1.56
44 O 0.4013 0.5218 0.3667  1 P 1.54
45 H 0.0961 0.7447 0.9027  1 O 0.99
46 O 0.2309 0.5070 0.6318  1 H 0.99
47 P 0.6239 0.3990 0.9265  4 O 1.53-1.56
48 O 0.6037 0.9842 0.7403  1 P 1.57
49 V 0.8337 0.3384 0.6626  6 O 1.89-2.02
50 P 0.0427 0.2660 0.4065  4 O 1.52-1.57
51 O 0.5556 0.8393 0.3137  1 H 0.99


The relative energies come out as (a) 0; (b) 7, with values in meV/atom.